1.
A relaxed structure of Pr2TeMo6O46, computed with PBE+U. Values from VASP.

The structure in Quantum ESPRESSO input format:
```
&SYSTEM
  ibrav = 0, nat = 55, ntyp = 4
/
ATOMIC_SPECIES
Pr 140.91 Pr.upf
Te 127.60 Te.upf
Mo 95.94 Mo.upf
O 16.00 O.upf
ATOMIC_POSITIONS crystal
Pr 0.753 0.248 0.667
Pr 0.247 0.752 0.333
Te 0.500 0.000 0.500
Mo 0.595 0.092 0.209
Mo 0.405 0.908 0.791
Mo 0.743 0.670 0.673
Mo 0.257 0.330 0.327
Mo 0.798 0.774 0.383
Mo 0.202 0.226 0.617
O 0.876 0.199 0.373
O 0.124 0.801 0.627
O 0.481 0.106 0.096
O 0.519 0.894 0.904
O 0.326 0.978 0.601
O 0.674 0.022 0.399
O 0.751 0.486 0.665
O 0.249 0.514 0.335
O 0.719 0.040 0.652
O 0.281 0.960 0.348
O 0.825 0.207 0.925
O 0.175 0.793 0.075
O 0.868 0.728 0.545
O 0.132 0.272 0.455
O 0.982 0.813 0.331
O 0.018 0.187 0.669
O 0.420 0.442 0.817
O 0.580 0.558 0.183
O 0.860 0.649 0.784
O 0.140 0.351 0.216
O 0.498 0.447 0.540
O 0.502 0.553 0.460
O 0.797 0.282 0.435
O 0.203 0.718 0.565
O 0.526 0.308 0.815
O 0.474 0.692 0.185
O 0.760 0.138 0.149
O 0.240 0.862 0.851
O 0.635 0.943 0.649
O 0.365 0.057 0.351
O 0.672 0.874 0.252
O 0.328 0.126 0.748
O 0.419 0.207 0.507
O 0.581 0.793 0.493
O 0.824 0.596 0.371
O 0.176 0.404 0.629
O 0.832 0.095 0.891
O 0.168 0.905 0.109
O 0.467 0.269 0.264
O 0.533 0.731 0.736
O 0.652 0.544 0.088
O 0.348 0.456 0.912
O 0.848 0.772 0.013
O 0.152 0.228 0.987
O 0.877 0.645 0.065
O 0.123 0.355 0.935
CELL_PARAMETERS angstrom
8.936 0.000 0.000
3.234 9.294 0.000
1.235 2.514 11.666
```

Calculated values
size of the total moment	12.00	μB per cell
final energy	-6.0450	eV per atom
symmetry	P-1 (2)
DFT formation energy	-0.842	eV/atom

***

2.
A relaxed structure of PrZnMo2O6, computed with PBE+U. Values from VASP.

The structure in Quantum ESPRESSO input format:
```
&SYSTEM
  ibrav = 0, nat = 20, ntyp = 4
/
ATOMIC_SPECIES
Pr 140.91 Pr.upf
Zn 65.41 Zn.upf
Mo 95.94 Mo.upf
O 16.00 O.upf
ATOMIC_POSITIONS crystal
Pr 0.306 0.773 0.249
Pr 0.694 0.773 0.749
Zn 0.636 0.270 0.254
Zn 0.364 0.270 0.754
Mo 0.772 0.995 0.003
Mo 0.763 0.501 0.497
Mo 0.228 0.995 0.503
Mo 0.237 0.501 0.997
O 0.749 0.352 0.754
O 0.059 0.126 0.049
O 0.060 0.755 0.439
O 0.543 0.871 0.443
O 0.558 0.233 0.066
O 0.288 0.624 0.746
O 0.251 0.352 0.254
O 0.940 0.755 0.939
O 0.941 0.126 0.549
O 0.457 0.871 0.943
O 0.442 0.233 0.566
O 0.712 0.624 0.246
CELL_PARAMETERS angstrom
5.877 0.000 0.000
0.000 5.508 0.000
0.000 5.476 8.150
```

Calculated values
size of the total moment	10.00	μB per cell
final energy	-7.0018	eV per atom
symmetry	Pc (7)
DFT formation energy	-2.312	eV/atom

***

3.
A relaxed structure of Rb2Mo4O13, computed with PBE+U. Values from VASP.

The structure in Quantum ESPRESSO input format:
```
&SYSTEM
  ibrav = 0, nat = 38, ntyp = 3
/
ATOMIC_SPECIES
Rb 85.47 Rb.upf
Mo 95.94 Mo.upf
O 16.00 O.upf
ATOMIC_POSITIONS crystal
Rb 0.310 0.349 0.572
Rb 0.690 0.651 0.428
Rb 0.622 0.073 0.306
Rb 0.378 0.927 0.694
Mo 0.226 0.540 0.042
Mo 0.774 0.460 0.958
Mo 0.778 0.847 0.943
Mo 0.222 0.153 0.057
Mo 0.052 0.873 0.268
Mo 0.948 0.127 0.732
Mo 0.076 0.497 0.289
Mo 0.924 0.503 0.711
O 0.585 0.720 0.782
O 0.415 0.280 0.218
O 0.991 0.683 0.337
O 0.009 0.317 0.663
O 0.779 0.693 0.061
O 0.221 0.307 0.939
O 0.704 0.977 0.041
O 0.296 0.023 0.959
O 0.097 0.646 0.132
O 0.903 0.354 0.868
O 0.971 0.345 0.356
O 0.029 0.655 0.644
O 0.068 0.979 0.116
O 0.932 0.021 0.884
O 0.301 0.617 0.421
O 0.699 0.383 0.579
O 0.122 0.360 0.142
O 0.878 0.640 0.858
O 0.783 0.377 0.097
O 0.217 0.623 0.903
O 0.945 0.983 0.345
O 0.055 0.017 0.655
O 0.451 0.664 0.167
O 0.549 0.336 0.833
O 0.284 0.001 0.381
O 0.716 0.999 0.619
CELL_PARAMETERS angstrom
8.480 0.000 0.000
-2.918 8.088 0.000
-2.979 -3.833 9.332
```

Calculated values
final energy	-6.6869	eV per atom
symmetry	P-1 (2)
DFT formation energy	-2.059	eV/atom

***

4.
A relaxed structure of Rb3Mo10O30, computed with PBE+U. Values from VASP.

The structure in Quantum ESPRESSO input format:
```
&SYSTEM
  ibrav = 0, nat = 43, ntyp = 3
/
ATOMIC_SPECIES
Rb 85.47 Rb.upf
Mo 95.94 Mo.upf
O 16.00 O.upf
ATOMIC_POSITIONS crystal
Rb 0.500 0.000 0.500
Rb 0.816 0.633 0.282
Rb 0.184 0.367 0.718
Mo 0.223 0.446 0.172
Mo 0.777 0.554 0.828
Mo 0.822 0.156 0.960
Mo 0.334 0.156 0.960
Mo 0.178 0.844 0.040
Mo 0.666 0.844 0.040
Mo 0.611 0.721 0.657
Mo 0.110 0.721 0.657
Mo 0.389 0.279 0.343
Mo 0.890 0.279 0.343
O 0.500 0.500 0.500
O 0.000 0.500 0.500
O 0.248 0.496 0.032
O 0.752 0.504 0.968
O 0.315 0.630 0.335
O 0.685 0.370 0.665
O 0.578 0.156 0.990
O 0.422 0.844 0.010
O 0.088 0.176 0.992
O 0.912 0.824 0.008
O 0.844 0.689 0.689
O 0.156 0.311 0.311
O 0.358 0.715 0.671
O 0.642 0.285 0.329
O 0.839 0.197 0.815
O 0.358 0.197 0.815
O 0.161 0.803 0.185
O 0.642 0.803 0.185
O 0.942 0.368 0.161
O 0.426 0.368 0.161
O 0.058 0.632 0.839
O 0.574 0.632 0.839
O 0.689 0.819 0.556
O 0.129 0.819 0.556
O 0.311 0.181 0.444
O 0.871 0.181 0.444
O 0.715 0.920 0.855
O 0.205 0.920 0.855
O 0.285 0.080 0.145
O 0.795 0.080 0.145
CELL_PARAMETERS angstrom
-6.399 2.245 3.657
3.802 -8.743 3.902
4.664 8.834 2.737
```

Calculated values
size of the total moment	3.00	μB per cell
final energy	-6.8290	eV per atom
symmetry	C2/m (12)
DFT formation energy	-2.010	eV/atom

***

5.
A relaxed structure of Rb2Mo2O7, computed with PBE+U. Values from VASP.

The structure in Quantum ESPRESSO input format:
```
&SYSTEM
  ibrav = 0, nat = 44, ntyp = 3
/
ATOMIC_SPECIES
Rb 85.47 Rb.upf
Mo 95.94 Mo.upf
O 16.00 O.upf
ATOMIC_POSITIONS crystal
Rb 0.280 0.707 0.250
Rb 0.707 0.280 0.750
Rb 0.726 0.234 0.250
Rb 0.996 0.996 0.000
Rb 0.234 0.726 0.750
Rb 0.253 0.223 0.250
Rb 0.996 0.996 0.500
Rb 0.223 0.253 0.750
Mo 0.975 0.481 0.488
Mo 0.816 0.758 0.250
Mo 0.481 0.975 0.512
Mo 0.564 0.564 0.500
Mo 0.564 0.564 0.000
Mo 0.975 0.481 0.012
Mo 0.481 0.975 0.988
Mo 0.758 0.816 0.750
O 0.756 0.699 0.624
O 0.092 0.681 0.035
O 0.015 0.426 0.624
O 0.478 0.441 0.890
O 0.441 0.478 0.110
O 0.681 0.092 0.965
O 0.585 0.904 0.750
O 0.464 0.748 0.968
O 0.699 0.756 0.124
O 0.035 0.337 0.400
O 0.426 0.015 0.376
O 0.337 0.035 0.900
O 0.748 0.464 0.468
O 0.940 0.973 0.750
O 0.441 0.478 0.390
O 0.748 0.464 0.032
O 0.092 0.681 0.465
O 0.035 0.337 0.100
O 0.464 0.748 0.532
O 0.015 0.426 0.876
O 0.337 0.035 0.600
O 0.681 0.092 0.535
O 0.478 0.441 0.610
O 0.426 0.015 0.124
O 0.756 0.699 0.876
O 0.699 0.756 0.376
O 0.973 0.940 0.250
O 0.904 0.585 0.250
CELL_PARAMETERS angstrom
5.249 -6.575 0.000
5.249 6.575 0.000
0.000 0.000 12.187
```

Calculated values
size of the total moment	0.00	μB per cell
final energy	-6.4142	eV per atom
symmetry	Ama2 (40)
DFT formation energy	-2.135	eV/atom

***

6.
A relaxed structure of Rb2MoO8, computed with PBE+U. Values from VASP.

The structure in Quantum ESPRESSO input format:
```
&SYSTEM
  ibrav = 0, nat = 44, ntyp = 3
/
ATOMIC_SPECIES
Rb 85.47 Rb.upf
Mo 95.94 Mo.upf
O 16.00 O.upf
ATOMIC_POSITIONS crystal
Rb 0.981 0.992 0.769
Rb 0.019 0.008 0.231
Rb 0.481 0.008 0.731
Rb 0.519 0.992 0.269
Rb 0.812 0.655 0.593
Rb 0.188 0.345 0.407
Rb 0.312 0.345 0.907
Rb 0.688 0.655 0.093
Mo 0.279 0.679 0.584
Mo 0.721 0.321 0.416
Mo 0.779 0.321 0.916
Mo 0.221 0.679 0.084
O 0.448 0.642 0.690
O 0.552 0.358 0.310
O 0.948 0.358 0.810
O 0.052 0.642 0.190
O 0.240 0.368 0.659
O 0.760 0.632 0.341
O 0.740 0.632 0.841
O 0.260 0.368 0.159
O 0.489 0.796 0.577
O 0.511 0.204 0.423
O 0.989 0.204 0.923
O 0.011 0.796 0.077
O 0.245 0.849 0.922
O 0.755 0.151 0.078
O 0.745 0.151 0.578
O 0.255 0.849 0.422
O 0.378 0.711 0.972
O 0.622 0.289 0.028
O 0.878 0.289 0.528
O 0.122 0.711 0.472
O 0.198 0.918 0.609
O 0.802 0.082 0.391
O 0.698 0.082 0.891
O 0.302 0.918 0.109
O 0.357 0.426 0.573
O 0.643 0.574 0.427
O 0.857 0.574 0.927
O 0.143 0.426 0.073
O 0.127 0.715 0.684
O 0.873 0.285 0.316
O 0.627 0.285 0.816
O 0.373 0.715 0.184
CELL_PARAMETERS angstrom
-6.961 -5.111 1.666
1.490 -3.897 -5.732
8.285 -10.649 1.951
```

Calculated values
size of the total moment	0.00	μB per cell
final energy	-5.3902	eV per atom
symmetry	P2_1/c (14)
DFT formation energy	-1.036	eV/atom